No. 1
Computed, not measured: a geometry-optimized EuMoO3 structure at the PBE with a Hubbard U level of DFT.

a = 4.1002 Å, b = 4.1002 Å, c = 4.1002 Å
α = 90.00°, β = 90.00°, γ = 90.00°
Fractional coordinates of all 5 atoms:
Eu 0.0000 0.0000 0.0000
Mo 0.5000 0.5000 0.5000
O 0.5000 0.5000 0.0000
O 0.5000 0.0000 0.5000
O 0.0000 0.5000 0.5000

Output
- SG: Pm-3m (221)
- Crystal system: cubic
- M_tot: 9.0 μB per cell
- Calculated formation energy: -2.49 eV/atom
- E_tot: -8.63 eV per atom

***

No. 2
Computed, not measured: a geometry-optimized Mn3VCr2P6O24 structure at the PBE with a Hubbard U level of DFT.

a = 8.4839 Å, b = 8.4839 Å, c = 8.4839 Å
α = 61.58°, β = 61.58°, γ = 61.58°
Fractional coordinates of all 36 atoms:
Mn 0.3551 0.3551 0.3551
Mn 0.1455 0.1455 0.1455
Mn 0.6451 0.6451 0.6451
V 0.8549 0.8549 0.8549
Cr 0.0000 0.0000 0.0000
Cr 0.5011 0.5011 0.5011
P 0.7493 0.0474 0.4533
P 0.0474 0.4533 0.7493
P 0.4533 0.7493 0.0474
P 0.5478 0.2501 0.9504
P 0.9504 0.5478 0.2501
P 0.2501 0.9504 0.5478
O 0.8982 0.4887 0.6769
O 0.4887 0.6769 0.8982
O 0.6769 0.8982 0.4887
O 0.9052 0.0640 0.2511
O 0.8290 0.9916 0.6105
O 0.5986 0.2474 0.4486
O 0.0640 0.2511 0.9052
O 0.2474 0.4486 0.5986
O 0.3959 0.1776 0.9917
O 0.4486 0.5986 0.2474
O 0.7534 0.0902 0.9294
O 0.9917 0.3959 0.1776
O 0.9916 0.6105 0.8290
O 0.2511 0.9052 0.0640
O 0.5663 0.4011 0.7472
O 0.6105 0.8290 0.9916
O 0.7472 0.5663 0.4011
O 0.9294 0.7534 0.0902
O 0.4011 0.7472 0.5663
O 0.1776 0.9917 0.3959
O 0.0902 0.9294 0.7534
O 0.3161 0.1017 0.5196
O 0.5196 0.3161 0.1017
O 0.1017 0.5196 0.3161

Output
- SG: R3 (146)
- Crystal system: trigonal
- M_tot: 20.0 μB per cell
- Calculated formation energy: -2.47 eV/atom
- E_tot: -7.46 eV per atom

***

No. 3
Computed, not measured: a geometry-optimized CoH21C2N6Cl2O5 structure at the PBE with a Hubbard U level of DFT.

a = 9.0198 Å, b = 10.3092 Å, c = 14.3775 Å
α = 90.00°, β = 90.00°, γ = 90.00°
Fractional coordinates of all 148 atoms:
Co 0.7514 0.4867 0.3817
Co 0.7486 0.5133 0.8817
Co 0.2514 0.0133 0.6183
Co 0.2486 0.9867 0.1183
H 0.4550 0.1055 0.5124
H 0.1715 0.7818 0.0342
H 0.9809 0.0745 0.6366
H 0.8951 0.3239 0.9488
H 0.0929 0.1894 0.0984
H 0.9079 0.3373 0.8069
H 0.2602 0.1325 0.2597
H 0.7602 0.3675 0.7403
H 0.3285 0.2182 0.5342
H 0.0327 0.1072 0.1905
H 0.2398 0.8675 0.7597
H 0.9037 0.4669 0.7388
H 0.5963 0.5331 0.2388
H 0.9847 0.0596 0.0848
H 0.2615 0.5077 0.4311
H 0.5513 0.3553 0.4571
H 0.0191 0.5745 0.8634
H 0.4079 0.1627 0.1931
H 0.5191 0.9255 0.1366
H 0.4123 0.7900 0.1458
H 0.6049 0.6761 0.4488
H 0.2600 0.5355 0.7607
H 0.5884 0.6928 0.8125
H 0.5936 0.5499 0.5202
H 0.4037 0.0331 0.2612
H 0.1742 0.3776 0.8672
H 0.7600 0.9645 0.2394
H 0.2919 0.1053 0.4571
H 0.0513 0.1447 0.5429
H 0.2400 0.4645 0.2606
H 0.5327 0.3928 0.8095
H 0.2385 0.4923 0.9311
H 0.0921 0.8373 0.6931
H 0.4071 0.8106 0.5984
H 0.9064 0.4501 0.0202
H 0.7385 0.0077 0.0689
H 0.4064 0.0499 0.9798
H 0.1042 0.9291 0.2631
H 0.4487 0.8553 0.0429
H 0.7423 0.6745 0.7491
H 0.7460 0.6395 0.5196
H 0.4116 0.1928 0.6875
H 0.0963 0.9669 0.7612
H 0.5921 0.6627 0.3069
H 0.2423 0.8255 0.2509
H 0.3258 0.6224 0.3672
H 0.6742 0.1224 0.1328
H 0.8285 0.2818 0.4658
H 0.9071 0.6894 0.4016
H 0.6042 0.5709 0.7369
H 0.0153 0.5596 0.4152
H 0.7400 0.0355 0.7393
H 0.2081 0.8947 0.9571
H 0.5450 0.6055 0.9876
H 0.7577 0.3255 0.2491
H 0.9673 0.6072 0.3095
H 0.8958 0.4291 0.2369
H 0.9116 0.3072 0.3125
H 0.7540 0.3605 0.0196
H 0.0936 0.9501 0.4798
H 0.8258 0.8776 0.6328
H 0.1049 0.8239 0.5512
H 0.5929 0.3106 0.9016
H 0.2577 0.1745 0.7509
H 0.3951 0.1761 0.0512
H 0.7615 0.9923 0.5689
H 0.3958 0.0709 0.7631
H 0.5153 0.9404 0.5848
H 0.6715 0.7182 0.9658
H 0.0877 0.2100 0.6458
H 0.5877 0.2900 0.3542
H 0.9550 0.3945 0.4876
H 0.0450 0.8945 0.0124
H 0.7398 0.6325 0.2403
H 0.2460 0.8605 0.4804
H 0.2540 0.1395 0.9804
H 0.4673 0.8928 0.6905
H 0.4847 0.4404 0.9152
H 0.9123 0.7100 0.8542
H 0.0884 0.8072 0.1875
H 0.9487 0.6447 0.9571
H 0.4809 0.4255 0.3634
H 0.7081 0.6053 0.0429
H 0.7919 0.3947 0.5429
C 0.2822 0.5702 0.6277
C 0.7178 0.0702 0.8723
C 0.1928 0.4439 0.6074
C 0.8072 0.9439 0.8926
C 0.3072 0.5561 0.1074
C 0.7822 0.9298 0.3723
C 0.6928 0.0561 0.3926
C 0.2178 0.4298 0.1277
N 0.9270 0.6224 0.8886
N 0.1643 0.8993 0.5226
N 0.1609 0.8745 0.2150
N 0.5730 0.3776 0.3886
N 0.4301 0.9027 0.6233
N 0.1600 0.9098 0.7182
N 0.3391 0.1255 0.7150
N 0.8357 0.3993 0.9774
N 0.6609 0.6255 0.7850
N 0.8426 0.3787 0.4799
N 0.8400 0.4098 0.7818
N 0.1574 0.8787 0.0201
N 0.5699 0.4027 0.8767
N 0.3357 0.1007 0.0226
N 0.9301 0.5973 0.3767
N 0.6643 0.6007 0.4774
N 0.6574 0.6213 0.9799
N 0.3400 0.0902 0.2182
N 0.6600 0.5902 0.2818
N 0.0699 0.0973 0.1233
N 0.4270 0.8776 0.1114
N 0.3426 0.1213 0.5201
N 0.0730 0.1224 0.6113
N 0.8391 0.3745 0.2850
Cl 0.5568 0.3691 0.6338
Cl 0.0658 0.1729 0.8714
Cl 0.9432 0.6309 0.1338
Cl 0.4432 0.8691 0.8662
Cl 0.0568 0.1309 0.3662
Cl 0.5658 0.3271 0.1286
Cl 0.9342 0.6729 0.6286
Cl 0.4342 0.8271 0.3714
O 0.7101 0.0321 0.1337
O 0.8242 0.9145 0.9775
O 0.2101 0.4679 0.8663
O 0.6690 0.1398 0.9352
O 0.3310 0.6398 0.5648
O 0.1966 0.3987 0.2162
O 0.8310 0.8602 0.4352
O 0.3242 0.5855 0.0225
O 0.6464 0.1179 0.3224
O 0.8536 0.8821 0.8224
O 0.6966 0.1013 0.7838
O 0.3536 0.6179 0.1776
O 0.3034 0.6013 0.7162
O 0.1758 0.4145 0.5225
O 0.2899 0.5321 0.3663
O 0.1464 0.3821 0.6776
O 0.8034 0.8987 0.2838
O 0.1690 0.3602 0.0648
O 0.7899 0.9679 0.6337
O 0.6758 0.0855 0.4775

Output
- SG: P2_12_12_1 (19)
- Crystal system: orthorhombic
- M_tot: 0.0 μB per cell
- Calculated formation energy: -0.73 eV/atom
- E_tot: -5.33 eV per atom

***

No. 4
Computed, not measured: a geometry-optimized Li16Mn15FeP16O64 structure at the PBE with a Hubbard U level of DFT.

a = 24.6640 Å, b = 4.7878 Å, c = 10.5626 Å
α = 89.98°, β = 90.00°, γ = 90.00°
Fractional coordinates of all 112 atoms:
Li 0.3125 0.0000 0.0000
Li 0.1875 0.0000 0.0000
Li 0.0625 0.0000 0.0000
Li 0.9375 0.0000 0.0000
Li 0.8125 0.0000 0.0000
Li 0.6875 0.0000 0.0000
Li 0.5624 0.0003 0.9997
Li 0.4376 0.0003 0.9997
Li 0.1875 0.5000 0.5000
Li 0.3126 0.4999 0.5001
Li 0.9375 0.5000 0.5000
Li 0.0625 0.5000 0.5000
Li 0.6874 0.4999 0.5001
Li 0.4377 0.5004 0.5002
Li 0.5623 0.5004 0.5002
Li 0.8125 0.5000 0.5000
Mn 0.1250 0.9724 0.2811
Mn 0.8750 0.9724 0.2811
Mn 0.6249 0.9724 0.2813
Mn 0.3751 0.9724 0.2813
Mn 0.8750 0.5276 0.7811
Mn 0.6247 0.5276 0.7810
Mn 0.1250 0.5276 0.7811
Mn 0.3753 0.5276 0.7810
Mn 0.2500 0.4724 0.2189
Mn 0.7500 0.4724 0.2189
Mn 0.0000 0.4725 0.2189
Mn 0.5000 0.4726 0.2191
Mn 0.2501 0.0277 0.7188
Mn 0.7499 0.0277 0.7188
Mn 0.0000 0.0276 0.7188
Fe 0.5000 0.0259 0.7194
P 0.2500 0.9093 0.4081
P 0.0000 0.9093 0.4081
P 0.7500 0.9093 0.4081
P 0.5000 0.9103 0.4087
P 0.2500 0.5908 0.9081
P 0.0000 0.5907 0.9081
P 0.5000 0.5913 0.9067
P 0.7500 0.5908 0.9081
P 0.8750 0.4093 0.0919
P 0.1250 0.4093 0.0919
P 0.6250 0.4094 0.0920
P 0.3750 0.4094 0.0920
P 0.1250 0.0907 0.5919
P 0.6245 0.0898 0.5921
P 0.8750 0.0907 0.5919
P 0.3755 0.0898 0.5921
O 0.2500 0.7876 0.5448
O 0.0000 0.7875 0.5447
O 0.7500 0.7876 0.5448
O 0.5000 0.7902 0.5459
O 0.3002 0.7766 0.3388
O 0.1998 0.7765 0.3389
O 0.0502 0.7765 0.3388
O 0.9498 0.7765 0.3388
O 0.8002 0.7765 0.3389
O 0.6998 0.7766 0.3388
O 0.5501 0.7766 0.3393
O 0.4499 0.7766 0.3393
O 0.3750 0.7684 0.5959
O 0.1250 0.7694 0.5960
O 0.8750 0.7694 0.5960
O 0.6250 0.7684 0.5959
O 0.1250 0.7306 0.0959
O 0.6250 0.7306 0.0960
O 0.3750 0.7306 0.0960
O 0.8750 0.7306 0.0959
O 0.3002 0.7234 0.8388
O 0.1998 0.7235 0.8388
O 0.8002 0.7235 0.8388
O 0.9498 0.7235 0.8388
O 0.0502 0.7235 0.8388
O 0.6998 0.7234 0.8388
O 0.5501 0.7269 0.8376
O 0.4499 0.7269 0.8376
O 0.2500 0.7124 0.0447
O 0.0000 0.7124 0.0447
O 0.5000 0.7110 0.0438
O 0.7500 0.7124 0.0447
O 0.1250 0.2875 0.9553
O 0.8750 0.2875 0.9553
O 0.6250 0.2880 0.9552
O 0.3750 0.2880 0.9552
O 0.1752 0.2765 0.1612
O 0.0748 0.2765 0.1612
O 0.9252 0.2765 0.1612
O 0.6752 0.2765 0.1612
O 0.5748 0.2765 0.1612
O 0.4252 0.2765 0.1612
O 0.3248 0.2765 0.1612
O 0.8248 0.2765 0.1612
O 0.2500 0.2694 0.9040
O 0.0000 0.2695 0.9040
O 0.7500 0.2694 0.9040
O 0.5000 0.2698 0.9029
O 0.2500 0.2306 0.4041
O 0.7500 0.2306 0.4041
O 0.0000 0.2305 0.4040
O 0.5000 0.2313 0.4037
O 0.1752 0.2234 0.6612
O 0.0748 0.2235 0.6612
O 0.9252 0.2235 0.6612
O 0.3254 0.2236 0.6616
O 0.5738 0.2188 0.6616
O 0.6746 0.2236 0.6616
O 0.4262 0.2188 0.6616
O 0.8248 0.2234 0.6612
O 0.1250 0.2125 0.4553
O 0.8750 0.2125 0.4553
O 0.6247 0.2126 0.4558
O 0.3753 0.2126 0.4558

Output
- SG: Pm (6)
- Crystal system: monoclinic
- M_tot: 79.0 μB per cell
- Calculated formation energy: -2.62 eV/atom
- E_tot: -7.16 eV per atom

***

No. 5
Computed, not measured: a geometry-optimized ZnFe2O4 structure at the PBE with a Hubbard U level of DFT.

a = 5.8967 Å, b = 5.0572 Å, c = 10.2326 Å
α = 89.60°, β = 90.00°, γ = 90.00°
Fractional coordinates of all 28 atoms:
Zn 0.5000 0.8556 0.7509
Zn 0.0000 0.1490 0.2501
Zn 0.5000 0.5379 0.2499
Zn 0.0000 0.4707 0.7500
Fe 0.0000 0.5092 0.4866
Fe 0.0000 0.5097 0.0116
Fe 0.5000 0.4906 0.5153
Fe 0.5000 0.4895 0.9872
Fe 0.7525 0.9996 0.4998
Fe 0.2494 0.9994 0.0006
Fe 0.2475 0.9996 0.4998
Fe 0.7506 0.9994 0.0006
O 0.0000 0.8454 0.3933
O 0.0000 0.8458 0.1074
O 0.5000 0.1495 0.6067
O 0.5000 0.1506 0.8936
O 0.0000 0.1997 0.5970
O 0.0000 0.2019 0.9021
O 0.5000 0.7986 0.4031
O 0.5000 0.7992 0.0974
O 0.7595 0.6639 0.6121
O 0.2497 0.6613 0.8902
O 0.2444 0.3355 0.3866
O 0.7485 0.3386 0.1097
O 0.7556 0.3355 0.3866
O 0.2515 0.3386 0.1097
O 0.2405 0.6639 0.6121
O 0.7503 0.6613 0.8902

Output
- SG: Pm (6)
- Crystal system: monoclinic
- M_tot: 40.0 μB per cell
- Calculated formation energy: -1.55 eV/atom
- E_tot: -5.94 eV per atom

***

No. 6
Computed, not measured: a geometry-optimized Li2MnP2O7 structure at the PBE with a Hubbard U level of DFT.

a = 6.8165 Å, b = 7.2552 Å, c = 8.2126 Å
α = 63.78°, β = 114.48°, γ = 89.98°
Fractional coordinates of all 24 atoms:
Li 0.2349 0.7656 0.4685
Li 0.7661 0.7336 0.5314
Li 0.2354 0.2643 0.4708
Li 0.7649 0.2349 0.5294
Mn 0.9986 0.5020 0.0010
Mn 0.0001 0.0022 0.9983
P 0.2082 0.8619 0.7754
P 0.5676 0.3623 0.7757
P 0.4317 0.6377 0.2244
P 0.7926 0.1372 0.2248
O 0.4257 0.7496 0.0001
O 0.5748 0.2497 0.0004
O 0.3271 0.4421 0.6170
O 0.2902 0.9402 0.6167
O 0.7111 0.0569 0.3838
O 0.6719 0.5589 0.3837
O 0.3051 0.8090 0.2317
O 0.9275 0.9593 0.2319
O 0.0732 0.6914 0.7677
O 0.6939 0.5412 0.7676
O 0.3065 0.4579 0.2338
O 0.9265 0.3081 0.2338
O 0.6924 0.1916 0.7661
O 0.0740 0.0423 0.7660

Output
- SG: P1 (1)
- Crystal system: triclinic
- M_tot: 0.0 μB per cell
- Calculated formation energy: -2.59 eV/atom
- E_tot: -6.92 eV per atom